Model 1:
First-principles (PBE with a Hubbard U) data for a geometry-optimized Li4V2Co3Cu3O16 structure, as listed in the Materials Project database.

Computed properties:
M_tot, μB/cell: 0.073

Cell and atoms, written as CIF:
```
data_Li4V2Co3Cu3O16
_chemical_formula_sum 'Li4 V2 Co3 Cu3 O16'
_space_group_name_H-M_alt 'P 1'
_space_group_IT_number 1
_space_group_name_Hall 'P 1'
_cell_length_a 5.792
_cell_length_b 5.846
_cell_length_c 9.450
_cell_angle_alpha 86.13
_cell_angle_beta 89.15
_cell_angle_gamma 60.68
loop_
_atom_site_label
_atom_site_type_symbol
_atom_site_fract_x
_atom_site_fract_y
_atom_site_fract_z
Li1 Li 0.000 0.000 0.000
Li2 Li 0.009 0.996 0.504
Li3 Li 0.336 0.325 0.593
Li4 Li 0.666 0.669 0.092
V1 V 0.341 0.323 0.998
V2 V 0.669 0.642 0.498
Co1 Co 0.659 0.166 0.282
Co2 Co 0.831 0.831 0.767
Co3 Co 0.833 0.349 0.781
Cu1 Cu 0.168 0.174 0.277
Cu2 Cu 0.173 0.658 0.278
Cu3 Cu 0.343 0.825 0.784
O1 O 0.004 0.018 0.698
O2 O 0.045 0.494 0.143
O3 O 0.144 0.221 0.909
O4 O 0.181 0.673 0.906
O5 O 0.345 0.318 0.383
O6 O 0.350 0.815 0.409
O7 O 0.474 0.042 0.140
O8 O 0.494 0.468 0.154
O9 O 0.509 0.950 0.651
O10 O 0.562 0.478 0.642
O11 O 0.650 0.192 0.901
O12 O 0.669 0.658 0.879
O13 O 0.821 0.842 0.409
O14 O 0.837 0.349 0.402
O15 O 0.965 0.520 0.651
O16 O 0.987 0.014 0.191
```

---

Model 2:
First-principles (PBE with a Hubbard U) data for a geometry-optimized Li4V2Co3Cu3O16 structure, as listed in the Materials Project database.

Computed properties:
M_tot, μB/cell: 11.762

Cell and atoms, written as CIF:
```
data_Li4V2Co3Cu3O16
_chemical_formula_sum 'Li8 V4 Co6 Cu6 O32'
_space_group_name_H-M_alt 'C 1 m 1'
_space_group_IT_number 8
_space_group_name_Hall 'C -2y'
_cell_length_a 10.049
_cell_length_b 5.760
_cell_length_c 9.301
_cell_angle_alpha 90.00
_cell_angle_beta 91.56
_cell_angle_gamma 90.00
loop_
_atom_site_label
_atom_site_type_symbol
_atom_site_fract_x
_atom_site_fract_y
_atom_site_fract_z
Li1 Li 0.000 0.000 0.000
Li2 Li 0.000 0.000 0.499
Li3 Li 0.160 0.500 0.904
Li4 Li 0.330 0.000 0.401
V1 V 0.163 0.500 0.502
V2 V 0.329 0.000 0.007
Co1 Co 0.084 0.257 0.220
Co2 Co 0.170 0.000 0.721
Cu1 Cu 0.327 0.500 0.222
Cu2 Cu 0.411 0.244 0.721
O1 O 0.003 0.000 0.308
O2 O 0.004 0.000 0.808
O3 O 0.018 0.500 0.338
O4 O 0.089 0.257 0.596
O5 O 0.159 0.500 0.116
O6 O 0.170 0.000 0.104
O7 O 0.229 0.276 0.346
O8 O 0.250 0.212 0.848
O9 O 0.325 0.000 0.615
O10 O 0.325 0.500 0.583
O11 O 0.415 0.238 0.094
O12 O 0.471 0.000 0.857
```

---

Which of them is the least stable? Correct choice: model 1.

---

Model 1:
First-principles (PBE with a Hubbard U) data for a geometry-optimized Mg6CoCuO8 structure, as listed in the Materials Project database.

Computed properties:
M_tot, μB/cell: 0.662

Cell and atoms, written as CIF:
```
data_Mg6CoCuO8
_chemical_formula_sum 'Mg6 Co1 Cu1 O8'
_space_group_name_H-M_alt 'P 4/m m m'
_space_group_IT_number 123
_space_group_name_Hall '-P 4 2'
_cell_length_a 4.205
_cell_length_b 4.205
_cell_length_c 8.611
_cell_angle_alpha 90.00
_cell_angle_beta 90.00
_cell_angle_gamma 90.00
loop_
_atom_site_label
_atom_site_type_symbol
_atom_site_fract_x
_atom_site_fract_y
_atom_site_fract_z
Mg1 Mg 0.000 0.000 0.000
Mg2 Mg 0.000 0.000 0.500
Mg3 Mg 0.000 0.500 0.248
Co1 Co 0.500 0.500 0.000
Cu1 Cu 0.500 0.500 0.500
O1 O 0.000 0.000 0.251
O2 O 0.000 0.500 0.000
O3 O 0.000 0.500 0.500
O4 O 0.500 0.500 0.229
```

---

Model 2:
First-principles (PBE with a Hubbard U) data for a geometry-optimized Mg6CoCuO8 structure, as listed in the Materials Project database.

Computed properties:
M_tot, μB/cell: 3.776

Cell and atoms, written as CIF:
```
data_Mg6CoCuO8
_chemical_formula_sum 'Mg6 Co1 Cu1 O8'
_space_group_name_H-M_alt 'P 4/m m m'
_space_group_IT_number 123
_space_group_name_Hall '-P 4 2'
_cell_length_a 4.250
_cell_length_b 4.250
_cell_length_c 8.531
_cell_angle_alpha 90.00
_cell_angle_beta 90.00
_cell_angle_gamma 90.00
loop_
_atom_site_label
_atom_site_type_symbol
_atom_site_fract_x
_atom_site_fract_y
_atom_site_fract_z
Mg1 Mg 0.000 0.000 0.000
Mg2 Mg 0.000 0.500 0.252
Mg3 Mg 0.500 0.500 0.000
Co1 Co 0.000 0.000 0.500
Cu1 Cu 0.500 0.500 0.500
O1 O 0.000 0.000 0.248
O2 O 0.000 0.500 0.000
O3 O 0.000 0.500 0.500
O4 O 0.500 0.500 0.249
```

---

Which of them is the least stable? Correct choice: model 2.

---

Model 1:
First-principles (PBE with a Hubbard U) data for a geometry-optimized MgCo4Cu3O12 structure, as listed in the Materials Project database.

Computed properties:
M_tot, μB/cell: 8.999

Cell and atoms, written as CIF:
```
data_MgCo4Cu3O12
_chemical_formula_sum 'Mg1 Co4 Cu3 O12'
_space_group_name_H-M_alt 'P 1'
_space_group_IT_number 1
_space_group_name_Hall 'P 1'
_cell_length_a 6.227
_cell_length_b 6.250
_cell_length_c 6.290
_cell_angle_alpha 109.26
_cell_angle_beta 109.41
_cell_angle_gamma 109.35
loop_
_atom_site_label
_atom_site_type_symbol
_atom_site_fract_x
_atom_site_fract_y
_atom_site_fract_z
Mg1 Mg 0.000 0.000 0.000
Co1 Co 0.043 0.072 0.537
Co2 Co 0.044 0.563 0.037
Co3 Co 0.534 0.562 0.527
Co4 Co 0.542 0.072 0.037
Cu1 Cu 0.041 0.570 0.537
Cu2 Cu 0.542 0.068 0.536
Cu3 Cu 0.545 0.571 0.035
O1 O 0.180 0.391 0.871
O2 O 0.216 0.936 0.733
O3 O 0.219 0.555 0.351
O4 O 0.342 0.906 0.171
O5 O 0.357 0.248 0.532
O6 O 0.526 0.376 0.205
O7 O 0.570 0.770 0.868
O8 O 0.729 0.888 0.544
O9 O 0.741 0.230 0.900
O10 O 0.865 0.206 0.345
O11 O 0.865 0.592 0.727
O12 O 0.911 0.756 0.196
```

---

Model 2:
First-principles (PBE with a Hubbard U) data for a geometry-optimized MgCo4Cu3O12 structure, as listed in the Materials Project database.

Computed properties:
M_tot, μB/cell: 13.976

Cell and atoms, written as CIF:
```
data_MgCo4Cu3O12
_chemical_formula_sum 'Mg2 Co8 Cu6 O24'
_space_group_name_H-M_alt 'I m -3'
_space_group_IT_number 204
_space_group_name_Hall '-I 2 2 3'
_cell_length_a 7.203
_cell_length_b 7.203
_cell_length_c 7.203
_cell_angle_alpha 90.00
_cell_angle_beta 90.00
_cell_angle_gamma 90.00
loop_
_atom_site_label
_atom_site_type_symbol
_atom_site_fract_x
_atom_site_fract_y
_atom_site_fract_z
Mg1 Mg 0.000 0.000 0.000
Co1 Co 0.250 0.250 0.250
Cu1 Cu 0.000 0.000 0.500
O1 O 0.000 0.306 0.172
```

---

Which of them is the least stable? Correct choice: model 1.

---

Model 1:
First-principles (PBE with a Hubbard U) data for a geometry-optimized MgCo5CuO8 structure, as listed in the Materials Project database.

Computed properties:
M_tot, μB/cell: 1.410

Cell and atoms, written as CIF:
```
data_MgCo5CuO8
_chemical_formula_sum 'Mg1 Co5 Cu1 O8'
_space_group_name_H-M_alt 'P -1'
_space_group_IT_number 2
_space_group_name_Hall '-P 1'
_cell_length_a 5.855
_cell_length_b 5.866
_cell_length_c 6.128
_cell_angle_alpha 116.34
_cell_angle_beta 91.49
_cell_angle_gamma 119.34
loop_
_atom_site_label
_atom_site_type_symbol
_atom_site_fract_x
_atom_site_fract_y
_atom_site_fract_z
Mg1 Mg 0.000 0.000 0.000
Co1 Co 0.000 0.500 0.000
Co2 Co 0.137 0.295 0.467
Co3 Co 0.500 0.000 0.000
Co4 Co 0.500 0.000 0.500
Cu1 Cu 0.500 0.500 0.000
O1 O 0.222 0.483 0.233
O2 O 0.255 0.012 0.254
O3 O 0.256 0.020 0.760
O4 O 0.267 0.549 0.826
```

---

Model 2:
First-principles (PBE with a Hubbard U) data for a geometry-optimized MgCo5CuO8 structure, as listed in the Materials Project database.

Computed properties:
M_tot, μB/cell: 2.008

Cell and atoms, written as CIF:
```
data_MgCo5CuO8
_chemical_formula_sum 'Mg1 Co5 Cu1 O8'
_space_group_name_H-M_alt 'P -1'
_space_group_IT_number 2
_space_group_name_Hall '-P 1'
_cell_length_a 5.793
_cell_length_b 5.948
_cell_length_c 5.953
_cell_angle_alpha 114.83
_cell_angle_beta 119.09
_cell_angle_gamma 90.13
loop_
_atom_site_label
_atom_site_type_symbol
_atom_site_fract_x
_atom_site_fract_y
_atom_site_fract_z
Mg1 Mg 0.000 0.000 0.000
Co1 Co 0.000 0.000 0.500
Co2 Co 0.149 0.467 0.297
Co3 Co 0.500 0.000 0.000
Co4 Co 0.500 0.000 0.500
Cu1 Cu 0.500 0.500 0.000
O1 O 0.222 0.238 0.444
O2 O 0.236 0.250 0.977
O3 O 0.258 0.749 0.024
O4 O 0.278 0.804 0.557
```

---

Which of them is the least stable? Correct choice: model 1.

---

Model 1:
First-principles (PBE with a Hubbard U) data for a geometry-optimized SrEuCo2O6 structure, as listed in the Materials Project database.

Computed properties:
M_tot, μB/cell: 9.020

Cell and atoms, written as CIF:
```
data_SrEuCo2O6
_chemical_formula_sum 'Sr1 Eu1 Co2 O6'
_space_group_name_H-M_alt 'P 4/m m m'
_space_group_IT_number 123
_space_group_name_Hall '-P 4 2'
_cell_length_a 3.789
_cell_length_b 3.789
_cell_length_c 7.676
_cell_angle_alpha 90.00
_cell_angle_beta 90.00
_cell_angle_gamma 90.00
loop_
_atom_site_label
_atom_site_type_symbol
_atom_site_fract_x
_atom_site_fract_y
_atom_site_fract_z
Sr1 Sr 0.000 0.000 0.000
Eu1 Eu 0.000 0.000 0.500
Co1 Co 0.500 0.500 0.247
O1 O 0.000 0.500 0.271
O2 O 0.500 0.500 0.000
O3 O 0.500 0.500 0.500
```

---

Model 2:
First-principles (PBE with a Hubbard U) data for a geometry-optimized SrEuCo2O6 structure, as listed in the Materials Project database.

Computed properties:
M_tot, μB/cell: 35.828

Cell and atoms, written as CIF:
```
data_SrEuCo2O6
_chemical_formula_sum 'Sr4 Eu4 Co8 O24'
_space_group_name_H-M_alt 'P m -3 m'
_space_group_IT_number 221
_space_group_name_Hall '-P 4 2 3'
_cell_length_a 8.618
_cell_length_b 8.618
_cell_length_c 8.618
_cell_angle_alpha 90.00
_cell_angle_beta 90.00
_cell_angle_gamma 90.00
loop_
_atom_site_label
_atom_site_type_symbol
_atom_site_fract_x
_atom_site_fract_y
_atom_site_fract_z
Sr1 Sr 0.000 0.000 0.000
Sr2 Sr 0.000 0.000 0.500
Eu1 Eu 0.000 0.500 0.500
Eu2 Eu 0.500 0.500 0.500
Co1 Co 0.249 0.249 0.249
O1 O 0.000 0.251 0.251
O2 O 0.251 0.251 0.500
```

---

Which of them is the least stable? Correct choice: model 2.

---

Model 1:
First-principles (PBE with a Hubbard U) data for a geometry-optimized Li4Co3OF11 structure, as listed in the Materials Project database.

Computed properties:
M_tot, μB/cell: 8.000

Cell and atoms, written as CIF:
```
data_Li4Co3OF11
_chemical_formula_sum 'Li4 Co3 O1 F11'
_space_group_name_H-M_alt 'P 1'
_space_group_IT_number 1
_space_group_name_Hall 'P 1'
_cell_length_a 5.813
_cell_length_b 5.956
_cell_length_c 6.225
_cell_angle_alpha 99.75
_cell_angle_beta 100.09
_cell_angle_gamma 98.84
loop_
_atom_site_label
_atom_site_type_symbol
_atom_site_fract_x
_atom_site_fract_y
_atom_site_fract_z
Li1 Li 0.000 0.000 0.000
Li2 Li 0.161 0.225 0.515
Li3 Li 0.539 0.079 0.267
Li4 Li 0.732 0.318 0.785
Co1 Co 0.265 0.500 0.062
Co2 Co 0.457 0.806 0.733
Co3 Co 0.834 0.648 0.381
O1 O 0.517 0.661 0.261
F1 F 0.068 0.258 0.811
F2 F 0.185 0.633 0.522
F3 F 0.238 0.804 0.943
F4 F 0.262 0.230 0.215
F5 F 0.441 0.054 0.576
F6 F 0.483 0.504 0.821
F7 F 0.657 0.044 0.979
F8 F 0.774 0.354 0.454
F9 F 0.780 0.787 0.681
F10 F 0.927 0.520 0.103
F11 F 0.945 0.943 0.340
```

---

Model 2:
First-principles (PBE with a Hubbard U) data for a geometry-optimized Li4Co3OF11 structure, as listed in the Materials Project database.

Computed properties:
M_tot, μB/cell: 12.000

Cell and atoms, written as CIF:
```
data_Li4Co3OF11
_chemical_formula_sum 'Li4 Co3 O1 F11'
_space_group_name_H-M_alt 'P 1'
_space_group_IT_number 1
_space_group_name_Hall 'P 1'
_cell_length_a 5.750
_cell_length_b 5.907
_cell_length_c 6.302
_cell_angle_alpha 100.49
_cell_angle_beta 100.76
_cell_angle_gamma 97.63
loop_
_atom_site_label
_atom_site_type_symbol
_atom_site_fract_x
_atom_site_fract_y
_atom_site_fract_z
Li1 Li 0.000 0.000 0.000
Li2 Li 0.197 0.266 0.580
Li3 Li 0.475 0.814 0.756
Li4 Li 0.728 0.306 0.830
Co1 Co 0.288 0.520 0.090
Co2 Co 0.566 0.042 0.298
Co3 Co 0.877 0.669 0.442
O1 O 0.557 0.722 0.302
F1 F 0.059 0.265 0.848
F2 F 0.191 0.611 0.559
F3 F 0.265 0.835 0.021
F4 F 0.308 0.252 0.239
F5 F 0.467 0.076 0.592
F6 F 0.480 0.484 0.883
F7 F 0.682 0.073 0.031
F8 F 0.762 0.344 0.462
F9 F 0.809 0.766 0.722
F10 F 0.962 0.985 0.399
F11 F 0.969 0.552 0.157
```

---

Which of them is the least stable? Correct choice: model 1.